Here is a relaxed Na2BeSi4H8O14 crystal from Materials Project. Energies are from PBE-GGA.

Results
The magnetization is 0.0 μB per formula unit. The calculation puts the final energy at -727.919 eV for the cell shown. As for the space group: P2_12_12_1. Its calculated formation energy is -2.314 eV per atom.

Cell lengths 9.8974, 10.2252, 12.0585 Å; angles 90.00, 90.00, 90.00 degrees
Positions (direct):
Na: 0.0274 0.1953 0.3150
Na: 0.1367 0.7439 0.7423
Na: 0.3633 0.2561 0.2423
Na: 0.4726 0.8047 0.8150
Na: 0.5274 0.3047 0.6850
Na: 0.6367 0.7561 0.2577
Na: 0.8633 0.2439 0.7577
Na: 0.9726 0.6953 0.1850
Be: 0.2423 0.2639 0.7561
Be: 0.2577 0.7361 0.2561
Be: 0.7423 0.2361 0.2439
Be: 0.7577 0.7639 0.7439
Si: 0.0837 0.3545 0.5657
Si: 0.1021 0.6366 0.4482
Si: 0.1992 0.1481 0.9778
Si: 0.2083 0.8489 0.0343
Si: 0.2917 0.1511 0.5343
Si: 0.3008 0.8519 0.4778
Si: 0.3979 0.3634 0.9482
Si: 0.4163 0.6455 0.0657
Si: 0.5837 0.1455 0.4343
Si: 0.6021 0.8634 0.5518
Si: 0.6992 0.3519 0.0222
Si: 0.7083 0.6511 0.9657
Si: 0.7917 0.3489 0.4657
Si: 0.8008 0.6481 0.5222
Si: 0.8979 0.1366 0.0518
Si: 0.9163 0.8545 0.9343
H: 0.0532 0.0770 0.7339
H: 0.0543 0.9977 0.4690
H: 0.0658 0.4753 0.7683
H: 0.0801 0.5363 0.9810
H: 0.1199 0.3992 0.1639
H: 0.1604 0.4635 0.2745
H: 0.1953 0.0364 0.1913
H: 0.2448 0.0065 0.8014
H: 0.2552 0.9935 0.3014
H: 0.3047 0.9636 0.6913
H: 0.3396 0.5365 0.7745
H: 0.3801 0.6008 0.6639
H: 0.4199 0.4637 0.4810
H: 0.4342 0.5247 0.2683
H: 0.4457 0.0023 0.9690
H: 0.4468 0.9230 0.2339
H: 0.5532 0.4230 0.2661
H: 0.5543 0.5023 0.5310
H: 0.5658 0.0247 0.2317
H: 0.5801 0.9637 0.0190
H: 0.6199 0.1008 0.8361
H: 0.6604 0.0365 0.7255
H: 0.6953 0.4636 0.8087
H: 0.7448 0.4935 0.1986
H: 0.7552 0.5065 0.6986
H: 0.8047 0.5364 0.3087
H: 0.8396 0.9635 0.2255
H: 0.8801 0.8992 0.3361
H: 0.9199 0.0363 0.5190
H: 0.9342 0.9753 0.7317
H: 0.9457 0.4977 0.0310
H: 0.9468 0.5770 0.7661
O: 0.0305 0.5558 0.8060
O: 0.0396 0.5155 0.0529
O: 0.0604 0.1733 0.0490
O: 0.0793 0.8268 0.9505
O: 0.1168 0.3420 0.6958
O: 0.1210 0.4972 0.5128
O: 0.1547 0.3764 0.2381
O: 0.1548 0.6346 0.3221
O: 0.1665 0.2448 0.4901
O: 0.1725 0.8170 0.1606
O: 0.1802 0.1551 0.8455
O: 0.1854 0.7473 0.5227
O: 0.2217 0.0737 0.2627
O: 0.2415 0.9974 0.5158
O: 0.2585 0.0026 0.0158
O: 0.2783 0.9263 0.7627
O: 0.3146 0.2527 0.0227
O: 0.3198 0.8449 0.3455
O: 0.3275 0.1830 0.6606
O: 0.3335 0.7552 0.9901
O: 0.3452 0.3654 0.8221
O: 0.3453 0.6236 0.7381
O: 0.3790 0.5028 0.0128
O: 0.3832 0.6580 0.1958
O: 0.4207 0.1732 0.4505
O: 0.4396 0.8267 0.5490
O: 0.4604 0.4845 0.5529
O: 0.4695 0.4442 0.3060
O: 0.5305 0.9442 0.1940
O: 0.5396 0.9845 0.9471
O: 0.5604 0.3267 0.9510
O: 0.5793 0.6732 0.0495
O: 0.6168 0.1580 0.3042
O: 0.6210 0.0028 0.4872
O: 0.6547 0.1236 0.7619
O: 0.6548 0.8654 0.6779
O: 0.6665 0.2552 0.5099
O: 0.6725 0.6830 0.8394
O: 0.6802 0.3449 0.1545
O: 0.6854 0.7527 0.4773
O: 0.7217 0.4263 0.7373
O: 0.7415 0.5026 0.4842
O: 0.7585 0.4974 0.9842
O: 0.7783 0.5737 0.2373
O: 0.8146 0.2473 0.9773
O: 0.8198 0.6551 0.6545
O: 0.8275 0.3170 0.3394
O: 0.8335 0.7448 0.0099
O: 0.8452 0.1346 0.1779
O: 0.8453 0.8764 0.2619
O: 0.8790 0.9972 0.9872
O: 0.8832 0.8420 0.8042
O: 0.9207 0.3268 0.5495
O: 0.9396 0.6733 0.4510
O: 0.9604 0.0155 0.4471
O: 0.9695 0.0558 0.6940

=====

Here is a relaxed Na4Be2Si6SnH4O20 crystal from Materials Project. Energies are from PBE-GGA.

Results
The magnetization is 0.0 μB per formula unit. The calculation puts the final energy at -494.282 eV for the cell shown. As for the space group: C2/c. Its calculated formation energy is -2.676 eV per atom.

Cell lengths 11.1073, 11.1073, 12.1440 Å; angles 115.65, 115.65, 39.42 degrees
Positions (direct):
Na: 0.1846 0.7092 0.8026
Na: 0.1903 0.2958 0.2669
Na: 0.2908 0.8154 0.6974
Na: 0.2958 0.1903 0.7669
Na: 0.7042 0.8097 0.2331
Na: 0.7092 0.1846 0.3026
Na: 0.8097 0.7042 0.7331
Na: 0.8154 0.2908 0.1974
Be: 0.1031 0.8969 0.2500
Be: 0.4165 0.5835 0.2500
Be: 0.5835 0.4165 0.7500
Be: 0.8969 0.1031 0.7500
Si: 0.0490 0.1568 0.9977
Si: 0.1263 0.6402 0.3045
Si: 0.1568 0.0490 0.4977
Si: 0.3568 0.4343 0.0060
Si: 0.3598 0.8737 0.1955
Si: 0.4343 0.3568 0.5060
Si: 0.5657 0.6432 0.4940
Si: 0.6402 0.1263 0.8045
Si: 0.6432 0.5657 0.9940
Si: 0.8432 0.9510 0.5023
Si: 0.8737 0.3598 0.6955
Si: 0.9510 0.8432 0.0023
Sn: 0.0000 0.5000 0.0000
Sn: 0.5000 0.0000 0.5000
H: 0.0440 0.3255 0.4132
H: 0.1578 0.4647 0.6008
H: 0.3255 0.0440 0.9132
H: 0.4647 0.1578 0.1008
H: 0.5353 0.8422 0.8992
H: 0.6745 0.9560 0.0868
H: 0.8422 0.5353 0.3992
H: 0.9560 0.6745 0.5868
O: 0.0213 0.0650 0.3668
O: 0.0277 0.5733 0.1930
O: 0.0439 0.1621 0.6144
O: 0.0522 0.5848 0.6475
O: 0.0650 0.0213 0.8668
O: 0.1372 0.2343 0.0157
O: 0.1621 0.0439 0.1144
O: 0.1742 0.6551 0.9725
O: 0.2051 0.6864 0.2614
O: 0.2343 0.1372 0.5157
O: 0.2736 0.3601 0.0052
O: 0.3030 0.4633 0.3835
O: 0.3136 0.7949 0.2386
O: 0.3449 0.8258 0.5275
O: 0.3601 0.2736 0.5052
O: 0.4152 0.9478 0.8525
O: 0.4188 0.4998 0.6317
O: 0.4267 0.9723 0.3070
O: 0.4633 0.3030 0.8835
O: 0.4998 0.4188 0.1317
O: 0.5002 0.5812 0.8683
O: 0.5367 0.6970 0.1165
O: 0.5733 0.0277 0.6930
O: 0.5812 0.5002 0.3683
O: 0.5848 0.0522 0.1475
O: 0.6399 0.7264 0.4948
O: 0.6551 0.1742 0.4725
O: 0.6864 0.2051 0.7614
O: 0.6970 0.5367 0.6165
O: 0.7264 0.6399 0.9948
O: 0.7657 0.8628 0.4843
O: 0.7949 0.3136 0.7386
O: 0.8258 0.3449 0.0275
O: 0.8379 0.9561 0.8856
O: 0.8628 0.7657 0.9843
O: 0.9350 0.9787 0.1332
O: 0.9478 0.4152 0.3525
O: 0.9561 0.8379 0.3856
O: 0.9723 0.4267 0.8070
O: 0.9787 0.9350 0.6332

=====

Here is a relaxed Be3P2H4O10 crystal from Materials Project. Energies are from PBE-GGA.

Results
The magnetization is 0.0 μB per formula unit. The calculation puts the final energy at -248.538 eV for the cell shown. As for the space group: C2/c. Its calculated formation energy is -2.423 eV per atom.

Cell lengths 8.4099, 8.4099, 9.6463 Å; angles 94.64, 94.64, 31.91 degrees
Positions (direct):
Be: 0.1884 0.8116 0.7500
Be: 0.2022 0.2931 0.1576
Be: 0.2931 0.2022 0.6576
Be: 0.7069 0.7978 0.3424
Be: 0.7978 0.7069 0.8424
Be: 0.8116 0.1884 0.2500
P: 0.1135 0.1977 0.3947
P: 0.1977 0.1135 0.8947
P: 0.8023 0.8865 0.1053
P: 0.8865 0.8023 0.6053
H: 0.2347 0.5825 0.9042
H: 0.3365 0.5312 0.3114
H: 0.4175 0.7653 0.5958
H: 0.4688 0.6635 0.1886
H: 0.5312 0.3365 0.8114
H: 0.5825 0.2347 0.4042
H: 0.6635 0.4688 0.6886
H: 0.7653 0.4175 0.0958
O: 0.0476 0.0863 0.8322
O: 0.0863 0.0476 0.3322
O: 0.0863 0.2487 0.0438
O: 0.0995 0.3372 0.8009
O: 0.1873 0.4591 0.6084
O: 0.2487 0.0863 0.5438
O: 0.3372 0.0995 0.3009
O: 0.3693 0.5385 0.8543
O: 0.4591 0.1873 0.1084
O: 0.4615 0.6307 0.6457
O: 0.5385 0.3693 0.3543
O: 0.5409 0.8127 0.8916
O: 0.6307 0.4615 0.1457
O: 0.6628 0.9005 0.6991
O: 0.7513 0.9137 0.4562
O: 0.8127 0.5409 0.3916
O: 0.9005 0.6628 0.1991
O: 0.9137 0.7513 0.9562
O: 0.9137 0.9524 0.6678
O: 0.9524 0.9137 0.1678

=====

Here is a relaxed Rb2BeH4S2O10 crystal from Materials Project. Energies are from PBE-GGA.

Results
The magnetization is 0.0 μB per formula unit. The calculation puts the final energy at -431.745 eV for the cell shown. As for the space group: P2_1/c. Its calculated formation energy is -1.989 eV per atom.

Cell lengths 11.5045, 12.0430, 7.5337 Å; angles 90.00, 96.43, 90.00 degrees
Positions (direct):
Rb: 0.0917 0.2383 0.4886
Rb: 0.0917 0.2617 0.9886
Rb: 0.3945 0.1020 0.8343
Rb: 0.3945 0.3980 0.3343
Rb: 0.6055 0.6020 0.6657
Rb: 0.6055 0.8980 0.1657
Rb: 0.9083 0.7383 0.0114
Rb: 0.9083 0.7617 0.5114
Be: 0.2323 0.5803 0.9245
Be: 0.2323 0.9197 0.4245
Be: 0.7677 0.0803 0.5755
Be: 0.7677 0.4197 0.0755
H: 0.0875 0.5201 0.7146
H: 0.0875 0.9799 0.2146
H: 0.1816 0.5898 0.6153
H: 0.1816 0.9102 0.1153
H: 0.2916 0.7367 0.4071
H: 0.2916 0.7633 0.9071
H: 0.4045 0.6805 0.9722
H: 0.4045 0.8195 0.4722
H: 0.5955 0.1805 0.5278
H: 0.5955 0.3195 0.0278
H: 0.7084 0.2367 0.0929
H: 0.7084 0.2633 0.5929
H: 0.8184 0.0898 0.8847
H: 0.8184 0.4102 0.3847
H: 0.9125 0.0201 0.7854
H: 0.9125 0.4799 0.2854
S: 0.1273 0.5547 0.2601
S: 0.1273 0.9453 0.7601
S: 0.3659 0.1073 0.3395
S: 0.3659 0.3927 0.8395
S: 0.6341 0.6073 0.1605
S: 0.6341 0.8927 0.6605
S: 0.8727 0.0547 0.2399
S: 0.8727 0.4453 0.7399
O: 0.0075 0.5869 0.2984
O: 0.0075 0.9131 0.7984
O: 0.1406 0.0668 0.7624
O: 0.1406 0.4332 0.2624
O: 0.1417 0.6006 0.0760
O: 0.1417 0.8994 0.5760
O: 0.1474 0.5811 0.7307
O: 0.1474 0.9189 0.2307
O: 0.2169 0.6074 0.3934
O: 0.2169 0.8926 0.8934
O: 0.2760 0.1833 0.2517
O: 0.2760 0.3167 0.7517
O: 0.3063 0.0314 0.4661
O: 0.3063 0.4686 0.9661
O: 0.3216 0.6859 0.9150
O: 0.3216 0.8141 0.4150
O: 0.4193 0.0391 0.2087
O: 0.4193 0.4609 0.7087
O: 0.4542 0.1720 0.4566
O: 0.4542 0.3280 0.9566
O: 0.5458 0.6720 0.0434
O: 0.5458 0.8280 0.5434
O: 0.5807 0.5391 0.2913
O: 0.5807 0.9609 0.7913
O: 0.6784 0.1859 0.5850
O: 0.6784 0.3141 0.0850
O: 0.6937 0.5314 0.0339
O: 0.6937 0.9686 0.5339
O: 0.7240 0.6833 0.2483
O: 0.7240 0.8167 0.7483
O: 0.7831 0.1074 0.1066
O: 0.7831 0.3926 0.6066
O: 0.8526 0.0811 0.7693
O: 0.8526 0.4189 0.2693
O: 0.8583 0.1006 0.4240
O: 0.8583 0.3994 0.9240
O: 0.8594 0.5668 0.7376
O: 0.8594 0.9332 0.2376
O: 0.9925 0.0869 0.2016
O: 0.9925 0.4131 0.7016

=====

Here is a relaxed BeH4SO4 crystal from Materials Project. Energies are from PBE-GGA.

Results
The magnetization is 0.9 μB per formula unit. The calculation puts the final energy at -80.625 eV for the cell shown. As for the space group: I4/mcm. Its calculated formation energy is -0.182 eV per atom.

Cell lengths 6.5184, 6.5184, 6.5184 Å; angles 102.73, 102.73, 124.02 degrees
Positions (direct):
Be: 0.0000 0.5000 0.5000
Be: 0.5000 0.0000 0.5000
H: 0.0515 0.5515 0.7416
H: 0.1900 0.6900 0.7416
H: 0.3100 0.0515 0.5000
H: 0.4485 0.1900 0.5000
H: 0.5515 0.8100 0.5000
H: 0.6900 0.9485 0.5000
H: 0.8100 0.3100 0.2584
H: 0.9485 0.4485 0.2584
S: 0.0000 0.0000 0.0000
S: 0.5000 0.5000 0.0000
O: 0.0893 0.1687 0.2580
O: 0.1687 0.9107 0.0794
O: 0.3313 0.4107 0.7420
O: 0.4107 0.6687 0.0794
O: 0.5893 0.3313 0.9206
O: 0.6687 0.5893 0.2580
O: 0.8313 0.0893 0.9206
O: 0.9107 0.8313 0.7420

=====

Here is a relaxed BeH2SeO4 crystal from Materials Project. Energies are from PBE-GGA.

Results
The magnetization is 0.0 μB per formula unit. The value obtained for the largest piezoelectric modulus is 0.1 C/m². The calculation puts the final energy at -179.372 eV for the cell shown. As for the space group: P2_12_12_1. Its calculated formation energy is -1.722 eV per atom.

Cell lengths 5.7181, 7.6283, 7.9524 Å; angles 90.00, 90.00, 90.00 degrees
Positions (direct):
Be: 0.1111 0.2321 0.2337
Be: 0.3889 0.7679 0.7337
Be: 0.6111 0.2679 0.7663
Be: 0.8889 0.7321 0.2663
H: 0.1458 0.5954 0.5562
H: 0.2176 0.5308 0.1841
H: 0.2824 0.4692 0.6841
H: 0.3542 0.4046 0.0562
H: 0.6458 0.9046 0.4438
H: 0.7176 0.9692 0.8159
H: 0.7824 0.0308 0.3159
H: 0.8542 0.0954 0.9438
Se: 0.2128 0.0875 0.5774
Se: 0.2872 0.9125 0.0774
Se: 0.7128 0.4125 0.4226
Se: 0.7872 0.5875 0.9226
O: 0.0828 0.0815 0.0872
O: 0.1592 0.7575 0.2077
O: 0.2109 0.8319 0.8823
O: 0.2236 0.4088 0.1403
O: 0.2764 0.5912 0.6403
O: 0.2891 0.1681 0.3823
O: 0.3408 0.2425 0.7077
O: 0.4172 0.9185 0.5872
O: 0.5828 0.4185 0.9128
O: 0.6592 0.7425 0.7923
O: 0.7109 0.6681 0.1177
O: 0.7236 0.0912 0.8597
O: 0.7764 0.9088 0.3597
O: 0.7891 0.3319 0.6177
O: 0.8408 0.2575 0.2923
O: 0.9172 0.5815 0.4128